First-principles (PBE-GGA) data for Na14Ca5Ti3Si6S6O48 after structural relaxation, as listed in Materials Project.

Results
Calculated volume (Å³/cell): 3420.43
Magnetic moment (Bohr magnetons per cell): 0.00
Energy of formation (eV/atom): -2.646

Lattice parameters (Å, degrees): 18.7730 9.3509 22.4907 90.15 89.71 119.96
Last column: nearest neighbours and their distance in Å.
Positions (direct):
S1 0.4847 0.3214 0.5818  4 O 1.47-1.52
Na1 0.0125 0.0067 0.9982  5 O 2.45-2.73
O1 0.0714 0.6783 0.0837  1 S 1.48
O2 0.7580 0.6821 0.2528  1 Si 1.70, 1 Ti 1.84
O3 0.2660 0.6411 0.8578  1 S 1.51
O4 0.5019 0.2068 0.9130  1 S 1.48
Si1 0.3536 0.7068 0.2541  4 O 1.59-1.72
Si2 0.1741 0.3197 0.0910  4 O 1.58-1.76
O5 0.5016 0.2339 0.3110  1 S 1.48
O6 0.2299 0.2990 0.0318  1 Si 1.76, 1 Ti 1.82
O7 0.5775 0.1441 0.1034  1 Si 1.71
Ti1 0.1810 0.6729 0.3083  4 O 1.82-2.03
Si3 0.1712 0.9680 0.9203  4 O 1.61-1.74
O8 0.7770 0.6678 0.9709  1 S 1.48
O9 0.7563 0.8179 0.7554  1 Si 1.75, 1 Ti 1.84
O10 0.4378 0.5514 0.7387  1 S 1.45
Na2 0.1896 0.6738 0.1635  4 O 2.39-2.66
O11 0.5153 0.8325 0.7013  1 S 1.51
Na3 0.1600 0.9820 0.0716  3 O 2.31-2.51
O12 0.5109 0.2196 0.2024  1 S 1.48
O13 0.4337 0.5032 0.4149  1 S 1.51
O14 0.9103 0.8319 0.1965  1 Si 1.72, 1 Ti 1.89
O15 0.2408 0.1089 0.6378  1 Si 1.62
O16 0.0829 0.9667 0.2002  1 Ti 1.79, 1 Si 1.80
Ti2 0.5052 0.9563 0.1512  4 O 1.83-1.92
O17 0.9216 0.0144 0.0862  1 S 1.51
O18 0.5713 0.6727 0.0720  1 Si 1.62
O19 0.5533 0.4434 0.9746  1 S 1.48
O20 0.6506 0.8016 0.2579  1 Si 1.67
O21 0.8953 0.9879 0.4101  1 S 1.49
O22 0.4159 0.8216 0.5842  1 S 1.49
Ca1 0.3313 0.3318 0.1829  5 O 2.19-2.26
O23 0.7359 0.3574 0.1405  1 Si 1.62
O24 0.1682 0.4596 0.4782  1 Si 1.61
O25 0.5642 0.6597 0.3642  1 S 1.48
Na4 0.8493 0.6603 0.4137  5 O 2.42-2.71
O26 0.3942 0.7797 0.3169  1 Si 1.59
Na5 0.1544 0.6621 0.6673  5 O 2.42-2.61
O27 0.8429 0.5208 0.2450  1 Si 1.61
O28 0.1535 0.4663 0.0810  1 Si 1.62
Si4 0.6690 0.0238 0.5867  4 O 1.61-1.73
O29 0.8909 0.0010 0.8181  1 Si 1.59
O30 0.8534 0.1187 0.0249  1 S 1.49
Na6 0.0079 0.9988 0.5049  5 O 2.56-2.70
O31 0.2580 0.6903 0.2550  1 Si 1.72, 1 Ti 1.82
O32 0.5832 0.1929 0.4134  1 Si 1.64
O33 0.4154 0.0468 0.0752  1 S 1.48
O34 0.1503 0.8259 0.5856  1 Si 1.64
Ti3 0.0081 0.9865 0.1576  2 O 1.79-1.89
Ti4 0.6794 0.6661 0.3060  3 O 1.84-1.94
O35 0.3952 0.9858 0.4101  1 S 1.47
Ca2 0.6643 0.6600 0.0150  5 O 2.17-2.30
O36 0.1794 0.8551 0.8618  1 Si 1.74, 1 Ti 1.91
O37 0.2551 0.1589 0.9258  1 Si 1.70
Ca3 0.8218 0.3421 0.4867  3 O 2.26-2.32
Na7 0.5248 0.0312 0.5006  3 O 2.38-2.63
O38 0.7718 0.8579 0.0814  1 S 1.49
O39 0.9373 0.3723 0.9136  1 S 1.50
O40 0.7594 0.8622 0.3612  1 S 1.50
S2 0.3127 0.6472 0.9131  4 O 1.46-1.52
S3 0.8450 0.0272 0.0812  4 O 1.47-1.51
O41 0.9045 0.9804 0.6998  1 Si 1.69
Ti5 0.5081 0.0342 0.6591  3 O 1.78-1.96
O42 0.0932 0.4637 0.2466  1 S 1.51
Ca4 0.8296 0.3203 0.1820  6 O 2.17-2.42
S4 0.0163 0.6584 0.4136  4 O 1.48-1.49
O43 0.2498 0.3609 0.4048  1 Si 1.64
O44 0.6700 0.5044 0.3580  1 Si 1.75, 1 Ti 1.85
O45 0.6576 0.4770 0.0848  1 Si 1.64
Na8 0.9979 0.6869 0.9149  4 O 2.48-2.59
O46 0.3343 0.1502 0.0291  1 S 1.53
Ti6 0.3184 0.3230 0.9896  4 O 1.82-2.00
O47 0.2744 0.8835 0.4702  1 S 1.48
Ti7 0.6744 0.6857 0.8080  3 O 1.84-1.92
O48 0.9393 0.5681 0.0300  1 S 1.49
O49 0.0606 0.6677 0.4692  1 S 1.48
O50 0.5830 0.9448 0.1966  1 Si 1.75, 1 Ti 1.83
O51 0.5878 0.7106 0.7477  1 S 1.52
S5 0.8114 0.9668 0.4118  4 O 1.48-1.50
Na9 0.8223 0.9696 0.5989  1 O 2.32
Na10 0.5151 0.3456 0.0929  2 O 2.33-2.50
O52 0.7429 0.3499 0.7471  1 Si 1.61
O53 0.0556 0.4436 0.9767  1 S 1.48
Ca5 0.1706 0.6641 0.0156  5 O 2.17-2.32
S6 0.3407 0.6551 0.5836  4 O 1.48-1.50
O54 0.3282 0.1141 0.1362  1 S 1.46
O55 0.1514 0.5000 0.7623  1 Si 1.69
O56 0.0732 0.4886 0.8696  1 S 1.49
O57 0.1197 0.2042 0.8108  1 Si 1.61
Na11 0.8181 0.6355 0.7334  3 O 2.32-2.54
S7 0.3121 0.9643 0.4130  4 O 1.47-1.51
O58 0.4102 0.8351 0.1988  1 Si 1.68
Na12 0.8148 0.6540 0.0960  3 O 2.44-2.60
Na13 0.6643 0.0549 0.4111  4 O 2.34-2.59
O59 0.9964 0.2221 0.3045  1 S 1.48
S8 0.0081 0.7088 0.7524  4 O 1.45-1.52
O60 0.7606 0.6863 0.5857  1 Si 1.64
Ca6 0.6695 0.6737 0.5172  6 O 2.17-2.41
O61 0.9465 0.3499 0.2368  1 S 1.46
O62 0.3997 0.7770 0.9110  1 S 1.47
O63 0.3305 0.1466 0.7505  1 Si 1.61
S9 0.0105 0.3080 0.2468  4 O 1.46-1.52
O64 0.5826 0.9676 0.9180  1 Si 1.63
Ca7 0.4990 0.0037 0.8516  5 O 2.12-2.35
Na14 0.1615 0.0526 0.4123  4 O 2.32-2.59
O65 0.5879 0.4802 0.2516  1 S 1.54
O66 0.5020 0.8049 0.4164  1 S 1.50
O67 0.9360 0.5003 0.4119  1 S 1.49
O68 0.4406 0.3012 0.5248  1 S 1.49
Na15 0.6875 0.0322 0.7429  2 O 2.32-2.42
Na16 0.3380 0.2863 0.8364  3 O 2.29-2.45
Ca8 0.0041 0.0099 0.8448  5 O 2.16-2.40
S10 0.9859 0.3247 0.5821  4 O 1.46-1.51
O69 0.9411 0.3433 0.6318  1 S 1.46
O70 0.2418 0.3621 0.7374  1 Si 1.62
O71 0.7510 0.1444 0.9037  1 Si 1.64
O72 0.7510 0.3645 0.4060  1 Si 1.64
O73 0.7326 0.1068 0.6411  1 Si 1.61
O74 0.4874 0.1634 0.5902  1 S 1.52
O75 0.9880 0.8107 0.0905  1 S 1.53
O76 0.3932 0.9773 0.8082  1 Si 1.57
O77 0.1561 0.8638 0.9803  1 Si 1.61
O78 0.8624 0.5959 0.5242  1 Si 1.65
O79 0.6470 0.8319 0.5831  1 Si 1.63
O80 0.0811 0.2020 0.6976  1 Si 1.70
O81 0.8390 0.1203 0.1316  1 S 1.47
S11 0.5134 0.3748 0.9166  4 O 1.48-1.51
O82 0.7633 0.6599 0.8626  1 S 1.50
O83 0.9258 0.8484 0.5990  1 Si 1.69
O84 0.6147 0.2017 0.8168  1 Si 1.59
O85 0.3450 0.5682 0.5292  1 S 1.49
Na17 0.4940 0.6760 0.9211  3 O 2.38-2.48
Na18 0.6564 0.6626 0.1614  5 O 2.45-2.70
O86 0.9440 0.3120 0.5248  1 S 1.49
S12 0.9858 0.6459 0.0853  4 O 1.47-1.53
Na19 0.3211 0.6415 0.7517  2 O 2.29-2.53
Na20 0.6475 0.9664 0.0641  2 O 2.31-2.39
Na21 0.5102 0.6992 0.5866  1 O 2.23
S13 0.8150 0.6618 0.9138  4 O 1.48-1.50
Si5 0.8511 0.0024 0.7561  4 O 1.59-1.75
Si6 0.6686 0.9637 0.9147  4 O 1.61-1.74
S14 0.5067 0.3151 0.2535  4 O 1.47-1.54
Na22 0.3229 0.3223 0.3242  5 O 2.39-2.63
Na23 0.1558 0.3213 0.5720  4 O 2.42-2.67
Na24 0.8260 0.3117 0.8252  3 O 2.31-2.50
Ca9 0.0012 0.0030 0.3463  5 O 2.16-2.39
O87 0.1465 0.7981 0.2565  1 Si 1.67
S15 0.5156 0.6604 0.4163  4 O 1.48-1.51
Na25 0.1917 0.3496 0.2462  2 O 2.26-2.39
O88 0.9408 0.5422 0.7424  1 S 1.45
Na26 0.4957 0.3120 0.4160  5 O 2.40-2.67
O89 0.3378 0.5601 0.6368  1 S 1.48
Ca10 0.5025 0.0040 0.3443  4 O 2.15-2.29
O90 0.0026 0.8026 0.4149  1 S 1.49
O91 0.2583 0.8604 0.3625  1 S 1.51
Na27 0.9946 0.6417 0.2578  4 O 2.45-2.62
O92 0.5768 0.0168 0.6019  1 Si 1.73, 1 Ti 1.88
O93 0.5700 0.4609 0.5815  1 S 1.48
O94 0.0902 0.9899 0.9135  1 Si 1.64
Na28 0.6678 0.6706 0.6620  5 O 2.39-2.63
Na29 0.3485 0.6532 0.4041  2 O 2.23-2.42
O95 0.2415 0.1389 0.2466  1 Si 1.59
Na30 0.0047 0.7011 0.5831  3 O 2.38-2.63
O96 0.7009 0.2683 0.0257  1 Si 1.65
O97 0.7736 0.8881 0.4691  1 S 1.48
O98 0.0902 0.7136 0.7530  1 S 1.52
S16 0.5079 0.7137 0.7497  4 O 1.45-1.52
Si7 0.3509 0.9989 0.7514  4 O 1.57-1.75
O99 0.4481 0.5203 0.1434  1 Si 1.60
O100 0.2030 0.1220 0.5229  1 Si 1.65
O101 0.4400 0.3459 0.6310  1 S 1.47
Si8 0.1669 0.3748 0.4153  4 O 1.61-1.75
O102 0.3095 0.4812 0.9162  1 S 1.52
Na31 0.4944 0.6387 0.2404  4 O 2.37-2.58
Si9 0.1723 0.0195 0.5862  4 O 1.62-1.69
O103 0.3167 0.1275 0.4090  1 S 1.49
Si10 0.6669 0.3742 0.4148  4 O 1.61-1.75
O104 0.8174 0.1313 0.4079  1 S 1.49
O105 0.8963 0.7752 0.3156  1 Si 1.59
O106 0.0062 0.2086 0.9136  1 S 1.49
O107 0.0816 0.1964 0.4142  1 Si 1.64
O108 0.7398 0.1400 0.2432  1 Si 1.60
O109 0.0143 0.2021 0.1970  1 S 1.52
O110 0.4386 0.3495 0.2506  1 S 1.47
Si11 0.1530 0.9831 0.2575  3 O 1.59-1.67
S17 0.3362 0.0445 0.0802  4 O 1.46-1.53
O111 0.3999 0.9808 0.6903  1 Si 1.71
Si12 0.6513 0.9805 0.2548  4 O 1.60-1.75
O112 0.5650 0.4835 0.8671  1 S 1.49
O113 0.6133 0.0125 0.3138  1 Si 1.60
O114 0.0845 0.0214 0.6012  1 Si 1.69
Na32 0.6750 0.3591 0.5727  4 O 2.40-2.67
O115 0.9443 0.5428 0.1374  1 S 1.47
Na33 0.8147 0.3155 0.3264  4 O 2.32-2.54
O116 0.2646 0.8750 0.0758  1 S 1.48
Si13 0.1482 0.3173 0.7521  4 O 1.61-1.70
S18 0.0186 0.3788 0.9175  4 O 1.48-1.50
Ca11 0.1665 0.6700 0.5160  6 O 2.16-2.41
Na34 0.6881 0.3475 0.2389  3 O 2.37-2.57
O117 0.1117 0.0084 0.3160  1 Si 1.60
O118 0.8995 0.8064 0.9123  1 S 1.49
O119 0.2658 0.6734 0.5841  1 S 1.50
Na35 0.8441 0.0332 0.9061  2 O 2.24-2.44
Si14 0.4764 0.6235 0.0828  4 O 1.60-1.73
Na36 0.1853 0.0360 0.7420  3 O 2.39-2.64
O120 0.4085 0.5092 0.0268  1 Si 1.73, 1 Ti 1.91
O121 0.6781 0.8835 0.9752  1 Si 1.61
O122 0.2731 0.6667 0.9659  1 S 1.46
Na37 0.3222 0.9785 0.6007  4 O 2.49-2.70
O123 0.0647 0.6612 0.3605  1 S 1.49
O124 0.9886 0.1661 0.5876  1 S 1.51
O125 0.5576 0.6680 0.4729  1 S 1.48
O126 0.3380 0.5215 0.2482  1 Si 1.61
O127 0.4324 0.3719 0.9150  1 S 1.51
O128 0.0845 0.1360 0.0916  1 Si 1.70
Ti8 0.0003 0.0169 0.6538  5 O 1.91-2.13
Si15 0.8530 0.7014 0.2535  4 O 1.59-1.72
O129 0.0722 0.4643 0.5830  1 S 1.49
Na38 0.1670 0.2842 0.9025  3 O 2.23-2.40
O130 0.1698 0.5068 0.3590  1 Si 1.75, 1 Ti 1.85
O131 0.6635 0.4576 0.4767  1 Si 1.61
O132 0.6998 0.1358 0.5258  1 Si 1.64
Na39 0.6608 0.2720 0.9127  3 O 2.30-2.52
O133 0.0163 0.8245 0.7031  1 S 1.50
O134 0.6526 0.4956 0.7615  1 Si 1.66
Si16 0.6510 0.3161 0.7597  4 O 1.59-1.76
O135 0.4810 0.8094 0.0881  1 Si 1.70, 1 Ti 1.87
Na40 0.5003 0.0005 0.0034  4 O 2.45-2.65
O136 0.8199 0.5075 0.9104  1 S 1.49
O137 0.2542 0.8188 0.7528  1 Si 1.75, 1 Ti 1.83
Ca12 0.8175 0.3104 0.9827  4 O 2.24-2.44
Si17 0.6699 0.3155 0.0876  4 O 1.62-1.71
Si18 0.8415 0.6625 0.5860  4 O 1.62-1.69
Ca13 0.8313 0.3305 0.6823  6 O 2.19-2.43
O138 0.8312 0.5420 0.6407  1 Si 1.62
O139 0.4980 0.7739 0.8084  1 S 1.48
O140 0.5836 0.2011 0.7020  1 Si 1.76, 1 Ti 1.78
Ti9 0.1770 0.6921 0.8089  3 O 1.83-1.92
O141 0.6693 0.8380 0.8575  1 Si 1.74, 1 Ti 1.84
Ca14 0.3324 0.3290 0.6845  6 O 2.18-2.37
Na41 0.0145 0.3224 0.0817  2 O 2.26-2.52
O142 0.9957 0.7692 0.8101  1 S 1.48
O143 0.2228 0.3369 0.1500  1 Si 1.58
Na42 0.9892 0.3004 0.4203  4 O 2.38-2.56
Ca15 0.3190 0.3215 0.4822  5 O 2.23-2.48
O144 0.8290 0.1461 0.7492  1 Si 1.60

First-principles (PBE-GGA) data for Na8CaTi3Si5SO24 after structural relaxation, as listed in Materials Project.

Results
Calculated volume (Å³/cell): 1618.63
Magnetic moment (Bohr magnetons per cell): 0.00
Energy of formation (eV/atom): -2.871

Lattice parameters (Å, degrees): 9.1496 9.1499 22.3410 90.89 89.61 120.06
Last column: nearest neighbours and their distance in Å.
Positions (direct):
Si1 0.6646 0.6357 0.5832  4 O 1.60-1.70
O1 0.8434 0.3310 0.2487  1 Si 1.62
O2 0.8449 0.5314 0.7521  1 Si 1.60
O3 0.8291 0.0103 0.8112  1 Si 1.65
O4 0.8324 0.5347 0.0277  1 Si 1.67
Ti1 0.6500 0.3377 0.4789  5 O 1.89-2.08
O5 0.9783 0.1958 0.3107  1 Si 1.59
Si2 0.7113 0.9912 0.7527  4 O 1.61-1.69
O6 0.6980 0.1598 0.7529  1 Si 1.61
O7 0.8542 0.3608 0.9238  1 Si 1.66
Si3 0.6595 0.0322 0.0817  4 O 1.60-1.70
Ti2 0.9995 0.0014 0.8528  3 O 1.86-1.87
Na1 0.3117 0.3360 0.5874  6 O 2.47-2.72
Ca1 0.6711 0.3343 0.1750  6 O 2.17-2.42
O8 0.1795 0.1697 0.8107  1 Si 1.65
O9 0.0322 0.8313 0.6928  1 Si 1.70, 1 Ti 1.82
O10 0.8525 0.4781 0.4240  1 Si 1.65
Na2 0.9924 0.3717 0.7538  5 O 2.40-2.67
Na3 0.9999 0.9977 0.9934  6 O 2.41-2.68
O11 0.6392 0.4929 0.9234  1 Si 1.66
O12 0.4724 0.1681 0.5254  1 Si 1.71, 1 Ti 1.91
O13 0.6934 0.5299 0.5251  1 Si 1.70, 1 Ti 1.89
Na4 0.6615 0.9678 0.5896  6 O 2.45-2.66
O14 0.3174 0.4817 0.4769  1 Si 1.61
O15 0.8078 0.9679 0.6917  1 Si 1.69
O16 0.0199 0.8185 0.4182  1 Si 1.60
O17 0.9151 0.5324 0.1439  1 Si 1.60
Si4 0.6157 0.9595 0.4160  4 O 1.61-1.68
O18 0.1678 0.9793 0.9131  1 Si 1.64
O19 0.1344 0.5018 0.8578  1 Si 1.66
O20 0.1384 0.4847 0.5751  1 S 1.49
Na5 0.6474 0.0160 0.2468  5 O 2.43-2.68
O21 0.2908 0.4742 0.7555  1 Si 1.65
O22 0.4984 0.6325 0.8577  1 Si 1.66
S1 0.2947 0.9935 0.2493  4 O 1.47-1.50
Na6 0.6823 0.3307 0.3349  5 O 2.42-2.70
Na7 0.3844 0.0081 0.7489  5 O 2.43-2.66
O23 0.6142 0.0846 0.1449  1 Si 1.60
Si5 0.2798 0.2887 0.7528  4 O 1.61-1.68
Si6 0.3385 0.3819 0.4205  4 O 1.60-1.69
Si7 0.9702 0.6373 0.0830  4 O 1.60-1.68
Ti3 0.3357 0.6664 0.8150  6 O 1.92-2.08
O24 0.8963 0.3650 0.6360  1 S 1.47
O25 0.2173 0.0106 0.3048  1 S 1.47
O26 0.7972 0.9724 0.4189  1 Si 1.61
O27 0.9877 0.8162 0.8113  1 Si 1.64
O28 0.4647 0.1472 0.2467  1 S 1.49
Ca2 0.9993 0.0016 0.3549  6 O 2.14-2.29
O29 0.9782 0.1788 0.5833  1 S 1.49
Na8 0.3299 0.6632 0.1593  6 O 2.48-2.69
O30 0.6292 0.1453 0.4222  1 Si 1.64
O31 0.8385 0.0205 0.0882  1 Si 1.70, 1 Ti 1.86
O32 0.1594 0.6650 0.0707  1 Si 1.64
Na9 0.0324 0.7052 0.5815  4 O 2.39-2.64
O33 0.1643 0.4707 0.9738  1 Si 1.64
O34 0.4825 0.0905 0.6410  1 Si 1.60
O35 0.5314 0.6998 0.2524  1 S 1.50
Na10 0.3427 0.6735 0.6716  4 O 2.41-2.66
O36 0.1586 0.6744 0.4767  1 Si 1.62
Si8 0.0107 0.7148 0.7543  4 O 1.60-1.70
Ti4 0.0019 0.9872 0.6534  3 O 1.82-1.90
O37 0.0268 0.1954 0.1917  1 Si 1.73, 1 Ti 1.91
Si9 0.3665 0.0333 0.5824  4 O 1.60-1.71
O38 0.1826 0.1619 0.0862  1 Si 1.70, 1 Ti 1.86
Na11 0.6595 0.6907 0.0794  5 O 2.44-2.66
Na12 0.3096 0.9669 0.0801  5 O 2.40-2.63
Na13 0.6660 0.3329 0.8302  6 O 2.44-2.65
O39 0.3317 0.8389 0.5714  1 Si 1.66
O40 0.1820 0.0255 0.5860  1 Si 1.65
O41 0.6705 0.5319 0.2454  1 S 1.48
Na14 0.6267 0.6175 0.7486  5 O 2.42-2.67
Ti5 0.3446 0.6800 0.5165  5 O 1.80-1.97
O42 0.4934 0.8605 0.3565  1 Si 1.68
O43 0.4632 0.3053 0.7542  1 Si 1.61
O44 0.7966 0.7785 0.3046  1 S 1.47
Ti6 0.6685 0.3357 0.9810  6 O 1.96-2.06
O45 0.9821 0.8252 0.0915  1 Si 1.68
Na15 0.9594 0.2843 0.4141  5 O 2.42-2.63
O46 0.4677 0.3807 0.1452  1 Si 1.60
O47 0.5261 0.8163 0.7557  1 Si 1.65
O48 0.4715 0.3033 0.0272  1 Si 1.66
Na16 0.3617 0.3639 0.2422  4 O 2.34-2.59
O49 0.5034 0.8409 0.0705  1 Si 1.63
Si10 0.0050 0.3036 0.2521  4 O 1.59-1.73
O50 0.8110 0.8336 0.9129  1 Si 1.64
Na17 0.7142 0.6785 0.4199  3 O 2.40-2.45
O51 0.8400 0.8223 0.5857  1 Si 1.66
Na18 0.9961 0.6225 0.2431  4 O 2.31-2.59
O52 0.1335 0.6279 0.3595  1 Si 1.70, 1 Ti 1.83
O53 0.5283 0.6921 0.9739  1 Si 1.64
O54 0.3088 0.8372 0.2505  1 S 1.50
Na19 0.3331 0.2957 0.9154  5 O 2.46-2.67
Ti7 0.0055 0.0246 0.1366  4 O 1.86-1.99
Ti8 0.3212 0.6502 0.3217  4 O 1.83-2.02
O55 0.5165 0.3741 0.4219  1 Si 1.67
O56 0.1809 0.1940 0.4199  1 Si 1.60
Na20 0.9631 0.6681 0.9149  5 O 2.48-2.65
Na21 0.0315 0.3518 0.0800  5 O 2.44-2.71
Na22 0.7037 0.0365 0.9151  5 O 2.46-2.64
S2 0.6983 0.7056 0.2495  4 O 1.47-1.50
Si11 0.0371 0.6527 0.4210  4 O 1.60-1.70
O57 0.5080 0.1458 0.9244  1 Si 1.66
O58 0.6175 0.5232 0.6419  1 Si 1.60
Ca3 0.6589 0.3309 0.6858  6 O 2.20-2.34
Si12 0.6229 0.6641 0.9160  4 O 1.64-1.66
Si13 0.0423 0.3780 0.9157  4 O 1.64-1.66
O59 0.3069 0.8367 0.9740  1 Si 1.64
Si14 0.3728 0.3425 0.0821  4 O 1.60-1.70
Si15 0.3357 0.9584 0.9166  4 O 1.64-1.66
Ti9 0.3329 0.6681 0.0138  6 O 1.90-2.05
O60 0.3660 0.4997 0.3596  1 Si 1.69, 1 Ti 1.84
O61 0.3387 0.4984 0.0714  1 Si 1.63
O62 0.7884 0.8097 0.1961  1 S 1.50
Na23 0.0005 0.9966 0.4991  6 O 2.48-2.57
O63 0.1625 0.1911 0.6916  1 Si 1.68
O64 0.5000 0.6616 0.5726  1 Si 1.66
Na24 0.3222 0.0305 0.4193  4 O 2.42-2.70
O65 0.1880 0.4914 0.2540  1 Si 1.70
O66 0.1890 0.9758 0.1957  1 S 1.50
S3 0.9654 0.3350 0.5806  4 O 1.47-1.50
O67 0.8551 0.3118 0.5280  1 S 1.50
O68 0.7009 0.1685 0.0273  1 Si 1.66
O69 0.0217 0.1887 0.9124  1 Si 1.65
O70 0.3675 0.8638 0.8583  1 Si 1.66
O71 0.5163 0.8409 0.4737  1 Si 1.65, 1 Ti 1.80
O72 0.1861 0.7075 0.7556  1 Si 1.64